Material: TbRh2
Method: DFT, r²SCAN
State: optimized geometry

Summary:
- energy relative to the elements (eV/atom) = -0.805
- V (Å³/cell) = 105.61

a b c (Å): 5.306 5.306 5.306
angles (deg): 60.00 60.00 60.00
Fractional positions:
Rh1 0.500 0.500 0.000
Rh2 0.500 0.000 0.500
Rh3 0.000 0.500 0.500
Rh4 0.500 0.500 0.500
Tb1 0.875 0.875 0.875
Tb2 0.125 0.125 0.125